[1]
Fe2PO5 | GGA+U | relaxed

Cell and atoms, written as POSCAR:
```
Fe2PO5
1.0
3.180 2.189 6.312
-4.350 3.025 5.165
-0.030 -6.073 -4.227
O Fe P
10 4 2
Cartesian
-2.483 -0.221 3.338
-1.120 -0.372 0.998
0.455 0.636 4.192
-1.228 -3.399 -1.130
-1.948 2.758 8.079
-0.585 2.607 5.739
-3.523 1.750 4.885
0.320 -1.715 3.360
-3.418 -1.972 1.490
-1.870 -0.289 5.980
0.626 -3.356 -0.157
-1.534 1.193 4.538
0.056 2.287 7.695
-1.549 -1.844 2.425
0.000 0.000 0.000
1.282 -0.639 3.912
```

Values from the calculation:
Crystal system   tetragonal
ΔH_f (0 K)   -2146 meV/atom
Polymorph energy (0 for the lowest one)   23 kJ/mol of formula units
Mass density   3.979 Mg/m³
Size of the total moment   9.00 μB per formula unit

***

[2]
FePO4 | GGA+U | relaxed

Cell and atoms, written as POSCAR:
```
FePO4
1.0
-2.223 -2.195 -4.212
3.864 3.277 -1.385
4.615 -3.970 1.930
O P Fe
8 2 2
Cartesian
5.619 -0.337 -1.525
3.322 -2.554 -3.210
2.457 0.084 -4.841
6.883 -2.122 -0.246
0.637 -2.551 -2.142
-0.627 -0.766 -3.421
3.799 -2.972 1.173
2.934 -0.334 -0.458
6.458 -0.648 -0.209
-0.202 -2.240 -3.458
2.394 -3.774 -2.050
3.863 0.886 -1.618
```

Values from the calculation:
Crystal system   triclinic
ΔH_f (0 K)   -2325 meV/atom
Mass density   3.193 Mg/m³

***

[3]
Fe2PO5 | GGA+U | relaxed

Cell and atoms, written as POSCAR:
```
Fe2PO5
1.0
-4.905 4.261 -0.662
-4.908 -5.396 1.634
0.527 1.751 7.365
Fe O P
8 20 4
Cartesian
-1.816 0.751 2.180
-4.980 2.685 5.856
0.000 0.000 0.000
-4.306 -2.069 2.482
-2.453 2.131 -0.331
-4.643 0.308 4.169
-7.470 -0.135 6.158
-2.190 -1.823 4.500
-7.581 1.038 2.254
-7.556 -1.061 0.829
-1.705 -0.422 6.084
-6.279 1.090 5.214
-6.027 -1.495 6.654
-4.158 -3.119 6.907
-3.007 -0.474 3.124
-3.408 -0.185 7.954
-3.711 4.165 5.981
-3.259 2.111 1.683
-4.843 2.497 3.627
-8.089 -1.090 4.595
-3.574 1.202 5.832
-5.128 3.735 1.431
-1.197 1.706 3.743
-5.712 -0.586 2.506
-5.878 0.801 0.384
-1.730 1.677 7.509
-4.443 -1.881 4.711
-5.575 -3.549 2.357
-5.202 -2.570 5.894
-4.084 3.186 2.443
-2.619 0.555 6.874
-6.667 0.061 1.464
```

Values from the calculation:
Crystal system   orthorhombic
ΔH_f (0 K)   -2165 meV/atom
Polymorph energy (0 for the lowest one)   8 kJ/mol of formula units
Mass density   3.992 Mg/m³